Mg4Cu5Te3O18 PBE-GGA relaxed; total magnetization = 6.00 Bohr magnetons per cell; total energy after the MP2020 corrections = -176.6 eV per formula unit; space group = C2; E_form = -1708.6 meV/atom; calculated volume = 694.72 Å³/cell; calculated total energy = -5.476 eV/atom
1.0
8.7335 0.0313 0.6408
4.2023 7.6561 0.6408
0.2619 0.1556 10.4364
Mg Cu Te O
8 10 6 36
Direct
0.8688 0.5330 0.3312
0.4807 0.5561 0.2154
0.4670 0.1312 0.6688
0.4439 0.5193 0.7846
0.1646 0.8727 0.7155
0.1415 0.2600 0.8312
0.7400 0.8585 0.1688
0.1273 0.8354 0.2845
0.7889 0.5136 0.9867
0.1218 0.1807 0.4862
0.3341 0.3365 0.3042
0.9458 0.7255 0.8040
0.6635 0.6659 0.6958
0.9727 0.0273 0.0000
0.6352 0.3648 0.5000
0.2745 0.0542 0.1960
0.8193 0.8782 0.5138
0.4864 0.2111 0.0133
0.4532 0.8613 0.9477
0.8041 0.1957 0.2501
0.8043 0.1959 0.7499
0.4694 0.8450 0.4476
0.1550 0.5306 0.5524
0.1387 0.5468 0.0523
0.3901 0.0766 0.8440
0.7062 0.4367 0.8001
0.5716 0.6229 0.5500
0.7399 0.1122 0.4163
0.5633 0.2938 0.1999
0.8878 0.2601 0.5837
0.3793 0.7669 0.3220
0.0321 0.1094 0.8249
0.5759 0.2830 0.6744
0.0839 0.4192 0.4243
0.5537 0.6444 0.0554
0.5240 0.9732 0.0761
0.9022 0.9546 0.7001
0.6921 0.7410 0.8623
0.3556 0.4463 0.9446
0.2291 0.6248 0.1779
0.0550 0.7470 0.4444
0.2590 0.3079 0.1377
0.3771 0.4284 0.4500
0.2530 0.9450 0.5556
0.6848 0.7815 0.3442
0.9164 0.6503 0.6377
0.8906 0.9679 0.1751
0.3752 0.7709 0.8221
0.0366 0.7687 0.9500
0.7196 0.1322 0.9171
0.0268 0.4760 0.9239
0.2331 0.6207 0.6780
0.0454 0.0978 0.2999
0.3497 0.0836 0.3623
0.2185 0.3152 0.6558
0.8678 0.2804 0.0829
0.7170 0.4241 0.3256
0.5808 0.9161 0.5757
0.2313 0.9634 0.0500
0.9234 0.6099 0.1560

---

ZnSi2SnO6 PBE-GGA relaxed; total magnetization = 0.00 Bohr magnetons per cell; total energy after the MP2020 corrections = -71.3 eV per formula unit; space group = Pbca; E_form = -2553.5 meV/atom; calculated volume = 991.66 Å³/cell; calculated total energy = -6.722 eV/atom; energy above the most stable polymorph in this dataset = 9 meV per atom
1.0
-5.0300 -0.4572 -2.0422
2.2605 -8.3092 -3.7076
-5.8058 -8.8433 16.2795
Zn Si Sn O
8 16 8 48
Direct
0.6174 0.1425 0.3742
0.3826 0.8575 0.6258
0.6174 0.6425 0.1258
0.1174 0.8575 0.1258
0.8826 0.1425 0.8742
0.3826 0.3575 0.8742
0.1174 0.3575 0.3742
0.8826 0.6425 0.6258
0.5336 0.6617 0.7649
0.6923 0.8371 0.4827
0.8077 0.8371 0.9827
0.9664 0.1617 0.2351
0.0336 0.3383 0.7351
0.4664 0.8383 0.2649
0.1923 0.6629 0.4827
0.6923 0.3371 0.0173
0.8077 0.3371 0.5173
0.9664 0.6617 0.2649
0.4664 0.3383 0.2351
0.5336 0.1617 0.7351
0.3077 0.1629 0.5173
0.0336 0.8383 0.7649
0.3077 0.6629 0.9827
0.1923 0.1629 0.0173
0.3802 0.9740 0.8804
0.6198 0.0260 0.1196
0.8802 0.0260 0.6196
0.1198 0.9740 0.3804
0.3802 0.4740 0.6196
0.6198 0.5260 0.3804
0.8802 0.5260 0.8804
0.1198 0.4740 0.1196
0.9540 0.5079 0.3035
0.2294 0.0084 0.0528
0.0460 0.4921 0.6965
0.7047 0.3315 0.9319
0.2047 0.1685 0.9319
0.9298 0.2360 0.0428
0.9530 0.6612 0.1796
0.0470 0.8388 0.6796
0.7047 0.8315 0.5681
0.9530 0.1612 0.3204
0.4540 0.4921 0.1965
0.7953 0.3315 0.4319
0.7706 0.9916 0.9472
0.4530 0.8388 0.1796
0.5460 0.0079 0.6965
0.2294 0.5084 0.4472
0.4540 0.9921 0.3035
0.2198 0.7456 0.2893
0.2802 0.7456 0.7893
0.5702 0.7360 0.9572
0.7953 0.8315 0.0681
0.5470 0.6612 0.6796
0.7294 0.4916 0.0528
0.2198 0.2456 0.2107
0.2953 0.1685 0.4319
0.5470 0.1612 0.8204
0.7706 0.4916 0.5528
0.2047 0.6685 0.5681
0.2706 0.5084 0.9472
0.7198 0.7544 0.2893
0.0460 0.9921 0.8035
0.7802 0.7544 0.7893
0.7802 0.2544 0.7107
0.7294 0.9916 0.4472
0.2953 0.6685 0.0681
0.2706 0.0084 0.5528
0.2802 0.2456 0.7107
0.0702 0.7640 0.9572
0.4298 0.7640 0.4572
0.7198 0.2544 0.2107
0.4298 0.2640 0.0428
0.5702 0.2360 0.5429
0.0702 0.2640 0.5429
0.4530 0.3388 0.3204
0.5460 0.5079 0.8035
0.9298 0.7360 0.4572
0.0470 0.3388 0.8204
0.9540 0.0079 0.1965